# 1
Entry from the Materials Project database: a relaxed structure of Ba2NdCu3O7 (GGA-PBE).

a = 3.894 Å, b = 3.958 Å, c = 11.899 Å
α = 90.00°, β = 90.00°, γ = 90.00°
Atoms (fractional coordinates):
Ba1 0.000 0.000 0.179
Ba2 0.000 0.000 0.821
Nd1 0.000 0.000 0.500
Cu1 0.500 0.500 0.000
Cu2 0.500 0.500 0.347
Cu3 0.500 0.500 0.653
O1 0.000 0.500 0.372
O2 0.000 0.500 0.628
O3 0.500 0.000 0.000
O4 0.500 0.000 0.371
O5 0.500 0.000 0.629
O6 0.500 0.500 0.158
O7 0.500 0.500 0.842

Values from the calculation:
**Energy relative to the elements**: -208.0 kJ per mole of atoms
**Symmetry**: Pmmm (47)
**Total magnetic moment**: 0.0034 μB/atom

=====

# 2
Entry from the Materials Project database: a relaxed structure of Bi9Rh2Br3 (GGA-PBE).

a = 9.438 Å, b = 13.883 Å, c = 20.243 Å
α = 90.00°, β = 100.98°, γ = 90.00°
Atoms (fractional coordinates):
Bi1 0.007 0.034 0.384
Bi2 0.007 0.466 0.384
Bi3 0.025 0.250 0.613
Bi4 0.027 0.635 0.105
Bi5 0.027 0.865 0.105
Bi6 0.144 0.250 0.470
Bi7 0.164 0.035 0.223
Bi8 0.164 0.465 0.223
Bi9 0.202 0.250 0.139
Bi10 0.206 0.750 0.231
Bi11 0.210 0.750 0.561
Bi12 0.246 0.032 0.555
Bi13 0.246 0.468 0.555
Bi14 0.253 0.037 0.053
Bi15 0.253 0.463 0.053
Bi16 0.282 0.635 0.434
Bi17 0.282 0.865 0.434
Bi18 0.286 0.750 0.055
Bi19 0.297 0.635 0.762
Bi20 0.297 0.865 0.762
Bi21 0.434 0.250 0.282
Bi22 0.442 0.031 0.891
Bi23 0.442 0.469 0.891
Bi24 0.466 0.536 0.284
Bi25 0.466 0.964 0.284
Bi26 0.468 0.750 0.891
Bi27 0.470 0.250 0.803
Bi28 0.530 0.750 0.197
Bi29 0.532 0.250 0.109
Bi30 0.534 0.036 0.716
Bi31 0.534 0.464 0.716
Bi32 0.558 0.531 0.109
Bi33 0.558 0.969 0.109
Bi34 0.566 0.750 0.718
Bi35 0.703 0.135 0.238
Bi36 0.703 0.365 0.238
Bi37 0.714 0.250 0.945
Bi38 0.718 0.135 0.566
Bi39 0.718 0.365 0.566
Bi40 0.747 0.537 0.947
Bi41 0.747 0.963 0.947
Bi42 0.754 0.532 0.445
Bi43 0.754 0.968 0.445
Bi44 0.790 0.250 0.439
Bi45 0.794 0.250 0.769
Bi46 0.798 0.750 0.861
Bi47 0.836 0.535 0.777
Bi48 0.836 0.965 0.777
Bi49 0.856 0.750 0.530
Bi50 0.973 0.135 0.895
Bi51 0.973 0.365 0.895
Bi52 0.975 0.750 0.387
Bi53 0.993 0.534 0.616
Bi54 0.993 0.966 0.616
Rh1 0.035 0.601 0.489
Rh2 0.035 0.899 0.489
Rh3 0.319 0.600 0.157
Rh4 0.319 0.900 0.157
Rh5 0.413 0.100 0.180
Rh6 0.413 0.400 0.180
Rh7 0.587 0.600 0.820
Rh8 0.587 0.900 0.820
Rh9 0.681 0.100 0.843
Rh10 0.681 0.400 0.843
Rh11 0.965 0.101 0.511
Rh12 0.965 0.399 0.511
Br1 0.075 0.250 0.300
Br2 0.136 0.605 0.911
Br3 0.136 0.895 0.911
Br4 0.144 0.104 0.761
Br5 0.144 0.396 0.761
Br6 0.328 0.250 0.957
Br7 0.397 0.250 0.628
Br8 0.438 0.106 0.426
Br9 0.438 0.394 0.426
Br10 0.562 0.606 0.574
Br11 0.562 0.894 0.574
Br12 0.603 0.750 0.372
Br13 0.672 0.750 0.043
Br14 0.856 0.604 0.239
Br15 0.856 0.896 0.239
Br16 0.864 0.105 0.089
Br17 0.864 0.395 0.089
Br18 0.925 0.750 0.700

Values from the calculation:
**Energy relative to the elements**: -40.1 kJ per mole of atoms
**Symmetry**: P2_1/m (11)
**Total magnetic moment**: 0.0002 μB/atom

=====

# 3
Entry from the Materials Project database: a relaxed structure of Hf8MgN8O4 (GGA-PBE).

a = 5.421 Å, b = 5.457 Å, c = 10.650 Å
α = 76.04°, β = 76.49°, γ = 60.32°
Atoms (fractional coordinates):
Hf1 0.000 0.000 0.000
Hf2 0.081 0.124 0.715
Hf3 0.216 0.289 0.292
Hf4 0.333 0.358 0.979
Hf5 0.477 0.503 0.530
Hf6 0.565 0.667 0.216
Hf7 0.705 0.771 0.793
Hf8 0.807 0.847 0.508
Mg1 0.903 0.962 0.254
N1 0.217 0.602 0.374
N2 0.248 0.038 0.132
N3 0.334 0.754 0.877
N4 0.477 0.126 0.636
N5 0.554 0.883 0.368
N6 0.712 0.085 0.874
N7 0.774 0.512 0.631
N8 0.977 0.644 0.135
O1 0.039 0.372 0.874
O2 0.101 0.805 0.630
O3 0.595 0.313 0.140
O4 0.843 0.251 0.378

Values from the calculation:
**ΔE to the lowest computed polymorph**: 9 meV per atom
**Energy relative to the elements**: -202.3 kJ per mole of atoms
**Symmetry**: P1 (1)
**Total magnetic moment**: 0.0000 μB/atom

=====

> The highest energy relative to the elements belongs to which entry?

Bi9Rh2Br3